Record 1
VASP calculation (PBE) on a relaxed Sb2S3 crystal.

abc: 12.1339 3.8703 11.2308
angles: 90.00 90.00 90.00
Space group Pnma (No. 62)
Symmetry-distinct sites (fractional):
Sb (0.0340, 0.2500, 0.1718) (multiplicity 4)
Sb (0.1409, 0.7500, 0.4666) (multiplicity 4)
S (0.0453, 0.2500, 0.6249) (multiplicity 4)
S (0.1241, 0.7500, 0.0572) (multiplicity 4)
S (0.1992, 0.2500, 0.3121) (multiplicity 4)

Summary:
Calculated formation energy in eV/f.u.: -2.756

=====

Record 2
VASP calculation (PBE) on a relaxed LuCu2S2 crystal.

abc: 3.9328 3.9328 6.1861
angles: 90.00 90.00 120.00
Space group P-3m1 (No. 164)
Symmetry-distinct sites (fractional):
Lu (0.0000, 0.0000, 0.0000) (multiplicity 1)
Cu (0.3333, 0.6667, 0.3481) (multiplicity 2)
S (0.3333, 0.6667, 0.7430) (multiplicity 2)

Summary:
Calculated formation energy in eV/f.u.: -4.708

=====

Record 3
VASP calculation (PBE) on a relaxed CePO4 crystal.

abc: 6.4054 7.1544 8.8306
angles: 90.00 128.64 90.00
Space group P2_1/c (No. 14)
Symmetry-distinct sites (fractional):
Ce (0.1536, 0.1970, 0.2586) (multiplicity 4)
P (0.3292, 0.6985, 0.2200) (multiplicity 4)
O (0.1437, 0.6307, 0.6676) (multiplicity 4)
O (0.2019, 0.5343, 0.2534) (multiplicity 4)
O (0.3314, 0.6617, 0.0481) (multiplicity 4)
O (0.3769, 0.2332, 0.1006) (multiplicity 4)

Summary:
Excess energy over the best structure of this formula in the dataset in eV/atom: 0.023
Calculated formation energy in eV/f.u.: -20.291